Material: LiNiPO4
Method: DFT, GGA+U
State: optimized geometry

Summary:
Calculated density = 3.605 g/cm3
V = 10.6 Å³ per atom
Distance to the lowest polymorph of the same formula = 9.9 kJ per mole of atoms

a = 19.898 Å, b = 8.109 Å, c = 5.501 Å
α = 90.00°, β = 90.00°, γ = 90.00°
Positions (direct):
Li 0.025 0.229 0.000
Li 0.160 0.757 0.520
Li 0.179 0.249 0.121
Li 0.321 0.749 0.621
Li 0.340 0.257 0.020
Li 0.475 0.729 0.500
Li 0.525 0.271 0.000
Li 0.660 0.743 0.520
Li 0.679 0.251 0.121
Li 0.821 0.751 0.621
Li 0.840 0.243 0.020
Li 0.975 0.771 0.500
Ni 0.062 0.483 0.559
Ni 0.089 0.923 0.997
Ni 0.241 0.061 0.570
Ni 0.259 0.561 0.070
Ni 0.411 0.423 0.497
Ni 0.438 0.983 0.059
Ni 0.562 0.017 0.559
Ni 0.589 0.577 0.997
Ni 0.741 0.439 0.570
Ni 0.759 0.939 0.070
Ni 0.911 0.077 0.497
Ni 0.938 0.517 0.059
P 0.071 0.091 0.501
P 0.095 0.590 0.071
P 0.234 0.438 0.552
P 0.266 0.938 0.052
P 0.405 0.090 0.571
P 0.429 0.591 0.001
P 0.571 0.409 0.501
P 0.595 0.910 0.071
P 0.734 0.062 0.552
P 0.766 0.562 0.052
P 0.905 0.410 0.571
P 0.929 0.909 0.001
O 0.004 0.998 0.472
O 0.038 0.468 0.157
O 0.059 0.251 0.650
O 0.077 0.668 0.822
O 0.097 0.739 0.249
O 0.100 0.124 0.242
O 0.121 0.983 0.650
O 0.161 0.493 0.069
O 0.161 0.496 0.566
O 0.227 0.080 0.923
O 0.232 0.908 0.300
O 0.242 0.277 0.398
O 0.258 0.777 0.898
O 0.268 0.408 0.800
O 0.273 0.580 0.423
O 0.339 0.993 0.569
O 0.339 0.996 0.066
O 0.379 0.483 0.150
O 0.400 0.624 0.742
O 0.403 0.239 0.749
O 0.423 0.168 0.322
O 0.441 0.751 0.150
O 0.462 0.968 0.657
O 0.496 0.498 0.972
O 0.504 0.502 0.472
O 0.538 0.032 0.157
O 0.559 0.249 0.650
O 0.577 0.832 0.822
O 0.597 0.761 0.249
O 0.600 0.376 0.242
O 0.621 0.517 0.650
O 0.661 0.004 0.566
O 0.661 0.007 0.069
O 0.727 0.420 0.923
O 0.732 0.592 0.300
O 0.742 0.223 0.398
O 0.758 0.723 0.898
O 0.768 0.092 0.800
O 0.773 0.920 0.423
O 0.839 0.504 0.066
O 0.839 0.507 0.569
O 0.879 0.017 0.150
O 0.900 0.876 0.742
O 0.903 0.261 0.749
O 0.923 0.332 0.322
O 0.941 0.749 0.150
O 0.962 0.532 0.657
O 0.996 0.002 0.972